(1)
Below is crystalline Li5Fe3Co2P6O24 at its relaxed geometry, with properties calculated at the PBE+U level.

Geometry as extended XYZ:
```
40
Lattice="-4.8108 -5.2301 4.5578 1.9474 -0.9641 8.2601 -5.2509 3.4668 5.7919" Properties=species:S:1:pos:R:3 pbc="T T T"
O -3.5365 0.3336 8.1077
O -5.6656 0.0049 12.8515
P -5.9030 -2.3492 6.4055
Fe -6.9192 -2.3312 15.9190
O -4.1034 -2.4936 13.3896
O -2.4279 -2.5806 5.4819
O -6.7029 1.1109 8.9351
O -2.1583 -1.9604 8.2696
O -4.6093 -3.0579 10.5155
P -0.9126 -2.9213 8.4096
P -2.2215 -0.3064 12.1093
P -3.2772 1.8744 8.3769
O -8.3490 -0.7735 9.5741
Li -5.5827 0.9491 7.4060
O -4.8677 -4.8062 8.7841
O -2.6110 1.1911 12.4531
O -1.2038 0.0532 6.4633
O -3.9344 0.0182 5.2322
O -3.2592 2.0114 9.9145
O -4.4356 2.6477 7.6824
O -6.7603 -2.8614 12.3684
O -5.9059 -0.7451 10.3328
O -3.5741 -5.3655 10.9344
Li -4.0295 -4.0400 7.2614
Co -4.7824 -5.1822 4.5643
P -4.7861 -4.5999 10.2751
Co -4.0784 -1.4239 9.3177
Li -0.8561 -0.3760 9.2872
O -4.6348 -1.9127 7.2529
Fe -2.8498 -0.9651 6.4861
O -3.5121 -0.8039 11.3312
O -6.5997 -0.6038 15.1121
Li -1.2979 -0.4215 2.9612
P -7.1573 0.1547 10.0110
Fe -5.2267 -1.7731 12.0005
O -5.6608 -3.8412 6.0216
O -7.1286 -2.1415 7.2961
Li -4.4356 1.0701 11.4161
O 0.2587 -2.0578 8.9774
O -1.0715 -0.5111 11.1714
```



(2)
Below is crystalline Li6Fe3CoP6O24 at its relaxed geometry, with properties calculated at the PBE+U level.

Geometry as extended XYZ:
```
40
Lattice="8.5150 0.0000 0.0000 4.0873 7.5251 0.0000 4.0941 2.4502 7.1158" Properties=species:S:1:pos:R:3 pbc="T T T"
P 8.4461 3.5864 0.3255
P 9.6011 7.8353 1.7478
Co 14.3007 8.5374 6.0906
O 6.2591 2.7011 6.4568
O 4.2962 3.4116 3.5406
O 7.2788 5.2921 7.0361
Fe 5.9413 3.6096 2.5224
Li 8.4534 2.0184 2.4741
O 6.2369 1.6178 2.1024
Li 4.3043 2.4709 7.0642
O 11.4938 5.9124 6.3291
O 11.3774 2.3445 5.2078
O 10.6447 8.3606 4.8896
Fe 2.3934 1.4179 0.9684
O 4.0345 0.5340 1.4799
P 11.3405 3.1649 3.8533
P 8.2301 6.4499 6.8041
O 10.6192 2.4531 2.7068
O 8.6674 2.0995 5.7064
P 7.1647 2.1873 5.3155
Fe 10.7979 6.4503 4.6092
Li 10.0067 3.7777 6.0319
O 6.2479 5.5317 3.0706
O 5.2431 7.6168 1.9691
O 7.8172 3.8568 1.7216
Li 10.8223 5.5147 1.6051
P 5.3454 6.7643 3.2696
O 10.4965 4.4383 4.1577
O 5.1276 4.1464 0.8349
O 10.4247 7.3031 0.5100
O 8.8766 6.2333 5.3993
O 7.5212 7.8637 6.7340
Li 8.0786 7.9924 4.6650
O 9.0775 2.1670 0.4569
O 7.1894 3.1691 4.1119
O 9.4543 4.7425 0.1333
Li 8.1226 4.9999 3.5071
O 9.6973 6.7194 2.8364
O 6.0089 7.5444 4.4414
O 12.4044 6.3486 3.5512
```



(3)
Below is crystalline Li7Fe3CoP6O24 at its relaxed geometry, with properties calculated at the PBE+U level.

Geometry as extended XYZ:
```
41
Lattice="1.8212 8.1739 -2.8423 5.5710 -4.1124 5.5010 6.5885 1.3457 -5.6663" Properties=species:S:1:pos:R:3 pbc="T T T"
Li 7.5847 1.0435 1.5370
P 5.5876 2.1624 0.1335
O 10.2520 -0.0356 -1.9920
O 7.8760 6.9293 -5.3617
O 5.3335 1.8600 -1.3576
O 12.0738 2.2857 -1.9805
Li 8.1158 6.6236 -3.2673
Fe 9.4780 5.5652 -5.4382
P 7.3581 -1.9044 3.2273
O 5.4109 7.2221 -5.3283
O 5.2066 4.4677 -2.7086
O 3.6630 5.5795 -1.0170
O 4.4524 3.0664 0.7035
Li 7.1863 4.7007 -0.4961
O 9.5928 2.3651 -3.5761
O 5.6652 0.7850 0.8726
Li 3.1450 -0.0542 -0.7139
O 6.1302 -1.5743 2.3147
Co 8.9974 2.8143 0.1007
Fe 5.0336 2.5537 -3.1885
Fe 4.5523 -0.1967 2.3513
O 5.6426 6.8504 -2.0988
Li 6.8727 3.8440 -5.2677
O 6.8918 2.9174 0.4477
O 8.4225 3.5814 -1.6633
O 8.6264 -1.6094 2.4004
O 8.3495 -1.4541 -0.9772
Li 7.1787 0.3790 -3.3863
O 3.5325 6.3656 -3.3415
P 9.4690 -0.3838 -0.7188
P 6.6312 7.2979 -6.2448
P 8.4073 3.2433 -3.1535
P 4.5141 5.7862 -2.3070
O 10.5044 -1.0665 0.2523
O 8.7754 0.8291 -0.1000
O 7.1123 2.4643 -3.5978
O 7.1926 -3.3608 3.6974
O 6.9041 8.7493 -6.7928
O 1.7851 3.0557 -0.9650
Li 11.4466 5.1650 -3.0415
O 8.3716 4.6126 -3.9212
```



(4)
Below is crystalline Li9FeCo12P12O48 at its relaxed geometry, with properties calculated at the PBE+U level.

Geometry as extended XYZ:
```
82
Lattice="14.1740 0.3220 17.2588 0.0792 6.3863 -0.2425 -0.0937 -0.2018 11.1367" Properties=species:S:1:pos:R:3 pbc="T T T"
P 1.2390 5.6897 1.6328
O 2.8234 1.8652 10.2044
O 7.6637 4.2737 10.3607
O 8.9836 1.5332 19.7673
P 8.1186 2.8297 20.7317
O 11.3176 6.0447 21.1765
Li 0.3334 3.1109 5.2525
O 8.1193 1.8921 10.7932
O 2.7023 6.0335 4.1563
O 12.0141 3.6801 25.2883
Fe 9.4421 3.3069 16.9530
O 6.1770 2.7660 12.3266
O 11.2205 2.3400 23.5452
Co 6.6514 1.8084 17.0849
O 0.1233 6.2806 2.5265
O 10.4996 4.8049 16.9819
O 8.3846 1.8089 16.9241
O 12.7596 0.4599 17.1988
O 7.3396 4.5949 14.3847
O 3.7154 3.1735 13.6183
Co 6.6258 0.1172 14.4768
O 0.3868 1.5044 6.2660
O 12.4148 4.7639 18.6769
O 2.0078 0.2582 12.4908
O 12.9331 1.2264 26.0452
Li 4.3667 0.3630 6.4818
O 9.5697 3.6201 20.3586
Co 13.2101 3.3776 19.6519
O 6.1246 6.1539 16.7072
P 10.7656 3.7840 13.1743
P 12.4312 1.7283 16.3044
Li 9.4494 0.2147 11.5059
O 10.9472 2.0565 16.2875
P 8.7850 4.0726 14.6798
O 11.5446 2.0189 19.5213
O 13.2716 2.9204 16.9318
O 7.9370 4.5572 17.6185
O 6.5212 1.5803 18.9212
O 3.8338 2.8426 8.0097
O 9.3145 2.9936 13.5473
O 12.3630 5.0334 14.9848
O 0.9948 3.1183 3.0288
O 5.7773 0.7775 10.9206
O 6.4694 1.8498 15.2290
P 6.8395 1.5142 11.7644
Li 4.0356 6.3392 11.4415
O 4.3233 4.7873 10.3811
O 3.6739 0.3372 8.2406
O 10.7648 4.7217 23.1128
O 1.0362 5.9546 8.4065
Li 3.8280 3.3017 6.0709
O 4.5869 0.0111 14.1206
O 13.1069 5.8362 22.9854
P 12.0447 5.0995 22.1416
P 3.0470 1.6777 8.6933
P 10.0992 2.5411 19.2262
O 1.8867 4.4266 6.4427
P 3.4711 0.6021 15.0143
Co 6.1340 5.3422 9.8312
Co 12.7502 1.2715 24.0748
O 5.9511 5.3874 7.8608
Li 4.3767 3.1808 11.3947
Co 12.2584 6.4965 19.4292
O 3.9106 1.6432 5.1075
O 5.6126 3.6933 16.9742
O 0.8763 3.4491 8.6374
Co 2.3850 1.8147 13.5521
O 12.7072 3.8478 21.5793
Co 2.3251 4.4771 3.0950
Co 3.8076 4.7628 8.5861
Li 0.3435 5.9288 10.1653
P 6.4530 4.8855 17.6016
Li 0.8821 2.9900 10.5762
Co 5.6740 3.2362 14.2541
Co 0.9026 1.5290 8.0610
O 6.8701 2.9337 8.6176
O 0.7996 4.6486 11.5396
O 7.5665 0.5690 12.7295
O 9.9005 5.0806 14.1386
Co 12.2327 4.8054 16.8211
Li 0.6746 -0.0474 5.2056
P 1.6632 4.6141 7.9538
```



(5)
Below is crystalline Li6FeCo3P6O24 at its relaxed geometry, with properties calculated at the PBE+U level.

Geometry as extended XYZ:
```
40
Lattice="8.4359 0.0000 0.0000 3.9497 7.5326 0.0000 3.9583 2.4084 7.1334" Properties=species:S:1:pos:R:3 pbc="T T T"
O 11.2435 7.8409 3.5523
O 8.6559 7.0806 4.0463
O 9.3330 1.5011 4.3907
Li 8.0491 6.9349 6.0587
Co 5.7422 3.4902 2.4983
O 11.2620 5.7291 0.5725
O 6.0830 7.0075 0.5129
O 8.9266 1.1265 1.8634
P 5.1674 5.2842 5.3514
Li 6.4371 2.9514 5.2190
O 6.0303 4.7129 4.1789
O 12.3777 8.4428 7.0596
O 12.1371 5.5152 4.9988
P 9.4056 4.1830 6.7692
O 6.0681 2.6055 0.8063
O 5.8727 6.5893 5.7552
Li 8.3331 4.9941 3.5189
O 7.9361 3.8042 7.0724
P 11.1828 4.7593 1.7764
O 5.1302 2.0896 3.6904
P 8.0397 8.4977 3.9163
Li 8.2018 3.0034 1.1000
O 10.6091 3.3815 1.3619
O 10.2100 7.3714 6.2883
Co 13.9964 8.5466 6.0892
O 7.0201 8.4037 2.7701
O 10.2731 5.2728 2.9012
O 6.9941 4.9761 1.6451
O 9.3059 5.0304 5.4740
O 7.6433 2.8345 3.1569
Li 5.6244 6.3868 2.4775
Fe 2.3966 1.4673 1.0467
O 5.1900 4.1861 6.4714
P 8.3032 1.4229 3.2664
O 4.2382 4.6465 2.2277
Li 12.2149 2.4273 7.1040
O 7.4157 8.8063 5.3031
Co 10.5174 6.4119 4.5399
P 6.9636 5.7365 0.2760
O 10.3111 2.9538 6.6250
```



(6)
Below is crystalline Li4Fe3Co2Sb3O16 at its relaxed geometry, with properties calculated at the PBE+U level.

Geometry as extended XYZ:
```
28
Lattice="0.3625 -5.7204 1.7459 5.2534 -2.1561 1.9120 -2.2411 2.6470 9.1906" Properties=species:S:1:pos:R:3 pbc="T T T"
O 3.3590 -5.0154 8.7163
O 0.6603 -0.9758 1.4962
O 3.5259 -4.9958 3.3832
O 4.8961 -7.0255 6.5920
Fe 4.1955 -5.9913 5.0269
Fe 1.9405 -0.5218 8.1420
O 3.1977 -2.0274 7.6893
O 3.4299 -2.0864 2.5848
Sb 4.0113 -3.1644 4.1660
Li 1.7832 -2.9350 10.4776
O 0.8230 -3.9862 2.4963
Li 4.4253 -6.4579 8.2754
O 0.7015 0.9516 8.6532
Li 0.9607 -1.5466 4.9005
O -1.8111 2.1373 7.4652
O 0.6115 -3.9121 7.6015
O 0.5289 -1.0426 6.8003
O 4.5451 -4.2055 5.7558
O 2.1353 -3.1596 4.9276
Co -0.2591 -0.1207 10.2224
O 2.3578 -5.7995 5.6816
Fe -0.4569 -2.2689 8.0606
O 0.8617 -1.6184 9.3585
Co 2.6264 -3.9412 7.2385
O -1.5029 -0.6549 8.5784
Sb -0.6396 0.5422 7.1998
Li 3.3170 -5.1432 12.6980
Sb 1.6009 -4.9210 4.0841
```



(7)
Below is crystalline Li4Fe2Co3Sn3O16 at its relaxed geometry, with properties calculated at the PBE+U level.

Geometry as extended XYZ:
```
28
Lattice="-1.0002 -5.8647 0.7612 5.1333 2.4971 1.9445 -4.0904 1.6579 8.5532" Properties=species:S:1:pos:R:3 pbc="T T T"
O 2.7129 -0.2226 2.4404
Co 2.7187 -1.4390 3.9620
Sn 0.6962 0.2012 2.6209
O 3.0645 0.0638 5.1591
O 0.8040 -1.9217 9.5708
O 2.2058 -3.0251 2.7926
O 0.8387 -1.0130 4.3187
Co -2.8757 -3.2683 7.0582
O 2.8106 -2.7423 5.3704
O -1.4198 -2.1761 6.4011
Li -0.5093 1.0864 9.1477
Li 2.0247 -2.4140 6.9542
O 1.1991 1.6567 4.0163
O -3.7462 -1.6926 7.6555
Li 0.0070 -1.5298 11.1165
O -1.8849 -3.0818 8.7220
O -0.9531 0.9436 5.8642
Fe 1.0889 0.5207 5.8164
Sn 3.2164 1.4299 3.5859
O -0.4287 -4.3008 1.7922
Co -0.3684 -2.0456 8.0237
Sn -2.3903 -0.3798 6.7039
O 1.6709 2.1609 6.8464
Fe -2.9682 -1.4902 9.6385
Li -0.5717 -2.4602 4.5734
O -1.4374 -0.5246 8.5480
O 1.1441 -0.8217 7.3876
O 0.1409 -1.3429 1.2937
```



(8)
Below is crystalline Li4Fe3Co3Te2O16 at its relaxed geometry, with properties calculated at the PBE+U level.

Geometry as extended XYZ:
```
28
Lattice="1.2691 -4.8096 -3.3385 3.5354 0.5191 -4.8083 7.8634 -1.8370 5.4648" Properties=species:S:1:pos:R:3 pbc="T T T"
O 8.6351 -4.6366 -3.4949
O 6.8915 -4.8744 -1.1845
Co 5.0083 -1.6147 -3.9660
O 11.0611 -5.7437 -3.7677
Fe 5.6721 -3.9546 -5.5910
O 4.0981 -3.0735 -4.8238
Co 6.4290 -2.0492 2.4840
O 6.8508 -2.6727 -4.4517
O 3.2471 -0.6412 -3.2089
Li 3.8187 -0.9075 2.5980
O 5.2582 -2.8721 -2.3047
O 6.4270 -2.5805 0.5548
O 7.4760 -3.8964 2.8675
Te 9.3360 -3.2293 2.6881
Li 4.8322 -2.1853 -0.4717
Fe 8.1491 -1.7794 0.1616
O 5.8567 -5.0100 -3.8070
O 2.3114 -0.5496 1.5714
Li 7.7645 -1.8190 5.3776
Li 10.3572 -4.5261 -0.4389
Te 6.9874 -3.7384 -2.7790
Co 3.9193 -4.1753 -3.2597
O 2.1474 -3.2267 -2.4958
O 1.5195 -0.8900 -0.8836
O 7.9855 -2.3021 -1.8940
Fe 7.0379 -4.3919 0.8822
O 9.0082 -3.6261 0.7440
O 8.4963 -1.4974 2.2058
```



(9)
Below is crystalline Li4Fe3Co3Te2O16 at its relaxed geometry, with properties calculated at the PBE+U level.

Geometry as extended XYZ:
```
28
Lattice="5.9643 0.0000 0.0000 -2.9648 5.1947 0.0000 -0.0196 -0.1324 9.7622" Properties=species:S:1:pos:R:3 pbc="T T T"
O 1.3404 2.6957 1.4168
Li -0.0191 -0.0191 5.0383
Fe 2.9700 3.3226 7.6746
Fe -1.4519 4.2507 2.8064
O 4.2959 2.4418 6.3140
O -0.0263 1.6157 8.9001
Li 0.0086 3.3997 5.7556
O 0.0140 3.4722 3.8177
Te -0.0056 3.4334 0.1454
O 4.4193 0.8136 4.0082
Co -0.0054 1.7459 2.8174
O 1.6790 2.4588 6.3004
Te 2.9765 1.6447 5.0490
O 0.0096 4.9708 1.4471
O 2.9891 3.3260 3.9609
O 2.9928 0.1228 6.3370
Li 0.0013 0.0130 0.1380
O -1.3356 2.7138 1.4287
O 5.8845 -0.0684 6.8900
Co 4.4122 0.7802 7.6974
Fe 1.4717 4.2650 2.8024
Co 1.5244 0.7845 7.6942
O 1.4388 4.1430 8.8751
O 1.5408 0.8023 4.0252
O -1.4600 4.1441 8.8763
Li 3.0011 1.7206 0.8637
O 2.9915 5.1316 1.9809
O 3.0360 1.6193 8.6524
```



| no. | energy of formation from the pure elements (eV per formula unit) |
| --- | --- |
| 1 | -95.2 |
| 2 | -96.6 |
| 3 | -100.1 |
| 4 | -127.8 |
| 5 | -92.2 |
| 6 | -50.9 |
| 7 | -50.6 |
| 8 | -47.0 |
| 9 | -48.3 |